Arrangement P

# CeMg14Cr

An optimized crystal structure of CeMg14Cr (PBE-GGA, the Materials Project database).

a b c (Å): 6.4798 6.4798 10.2696
angles (deg): 90.00 90.00 120.00
Closest atoms and distances in Å follow each position.
Space group P-6m2 (No. 187)
Symmetry-distinct sites (fractional):
Ce (0.0000, 0.0000, 0.0000) (multiplicity 1)  12 Mg 3.24-3.25
Mg (0.0135, 0.5067, 0.0000) (multiplicity 3)  10 Mg 3.11-3.37, 2 Ce 3.24
Mg (0.1650, 0.3299, 0.2602) (multiplicity 6)  1 Cr 3.08, 10 Mg 3.10-3.27, 1 Ce 3.25
Mg (0.5011, 0.0022, 0.5000) (multiplicity 3)  10 Mg 3.10-3.26, 2 Cr 3.24
Mg (0.6667, 0.3333, 0.2400) (multiplicity 2)  12 Mg 3.14-3.25
Cr (0.0000, 0.0000, 0.5000) (multiplicity 1)  12 Mg 3.08-3.24

Arrangement Q

# CeMg14Cr

An optimized crystal structure of CeMg14Cr (PBE-GGA, the Materials Project database).

a b c (Å): 10.2692 6.2474 11.3373
angles (deg): 90.00 90.00 90.00
Closest atoms and distances in Å follow each position.
Space group Amm2 (No. 38)
Symmetry-distinct sites (fractional):
Ce (0.0000, 0.0000, 0.0000) (multiplicity 2)  2 Cr 3.13, 10 Mg 3.22-3.25
Mg (0.0000, 0.2411, 0.2514) (multiplicity 4)  8 Mg 3.01-3.23, 1 Cr 3.07, 2 Ce 3.22-3.25
Mg (0.2348, 0.0000, 0.6522) (multiplicity 4)  1 Cr 3.05, 11 Mg 3.11-3.30
Mg (0.2529, 0.2459, 0.4058) (multiplicity 8)  10 Mg 3.07-3.29, 1 Cr 3.16, 1 Ce 3.23
Mg (0.2595, 0.0000, 0.1595) (multiplicity 4)  11 Mg 3.08-3.29, 1 Ce 3.22
Mg (0.5000, 0.0000, 0.4944) (multiplicity 2)  12 Mg 3.12-3.26
Mg (0.5000, 0.0000, 0.9925) (multiplicity 2)  12 Mg 3.11-3.25
Mg (0.5000, 0.2471, 0.7432) (multiplicity 4)  12 Mg 3.08-3.30
Cr (0.0000, 0.0000, 0.4871) (multiplicity 2)  10 Mg 3.05-3.40, 2 Ce 3.13

Bottom line: arrangement Q, by a margin of 0.018 eV/atom.